Computed, not measured: crystalline Li9Mn7O16 at its relaxed geometry at the PBE+U level of DFT.

Lattice parameters (Å, degrees): 6.0612 6.5038 8.0149 85.49 74.85 76.68
Fractional positions:
O1 0.3554 0.1993 0.4343
O2 0.7290 0.9555 0.1828
O3 0.8439 0.2048 0.4274
Li1 0.4405 0.8750 0.3743
Mn1 0.0000 0.0000 0.0000
O4 0.0160 0.5473 0.3178
O5 0.3979 0.3068 0.0813
Li2 0.9349 0.8775 0.3691
O6 0.6446 0.8007 0.5657
O7 0.1561 0.7952 0.5726
Li3 0.0651 0.1225 0.6309
Mn2 0.8743 0.7518 0.7552
Mn3 0.1257 0.2482 0.2448
Li4 0.3177 0.6308 0.1218
O8 0.5199 0.5469 0.3134
Li5 0.6823 0.3692 0.8782
Li6 0.8061 0.6309 0.1254
Li7 0.1939 0.3691 0.8746
O9 0.8105 0.0415 0.8294
O10 0.4801 0.4531 0.6866
O11 0.6021 0.6932 0.9187
O12 0.9840 0.4527 0.6822
O13 0.1065 0.7045 0.9393
Mn4 0.6180 0.2492 0.2433
Li8 0.5595 0.1250 0.6257
O14 0.8935 0.2955 0.0607
Li9 0.5000 0.0000 0.0000
O15 0.2710 0.0445 0.8172
Mn5 0.3820 0.7508 0.7567
Mn6 0.2500 0.4998 0.4996
Mn7 0.7500 0.5002 0.5004
O16 0.1895 0.9585 0.1706

Values from the calculation:
Total energy after the MP2020 corrections (eV/cell): -228.73
Final energy (eV per cell): -206.060
Excess energy over the best structure of this formula in the dataset (meV/atom): 12
SG: P-1 (2)
ΔH_f (0 K) (eV/atom): -2.13


Computed, not measured: crystalline LiCr2P2O9 at its relaxed geometry at the PBE+U level of DFT.

Lattice parameters (Å, degrees): 6.3256 7.6094 13.8925 90.00 90.00 90.00
Fractional positions:
O1 0.0457 0.9061 0.8670
P1 0.2500 0.8907 0.8060
O2 0.7500 0.5284 0.7771
P2 0.2500 0.1486 0.4353
O3 0.5457 0.4061 0.6330
O4 0.7500 0.8349 0.0149
Li1 0.2500 0.4465 0.7294
O5 0.2500 0.4886 0.0152
P3 0.7500 0.3907 0.6940
Cr1 0.5000 0.5000 0.5000
O6 0.9406 0.8641 0.6319
O7 0.2500 0.8558 0.0486
O8 0.2500 0.0114 0.5152
O9 0.9543 0.4061 0.6330
O10 0.2500 0.3349 0.4851
Li2 0.2500 0.0535 0.2294
O11 0.5594 0.6359 0.1319
Cr2 0.7500 0.1486 0.3816
P4 0.2500 0.3514 0.9353
Cr3 0.5000 0.0000 0.0000
Cr4 0.0000 0.0000 0.0000
O12 0.9543 0.0939 0.1330
P5 0.7500 0.6486 0.0647
O13 0.9406 0.6359 0.1319
O14 0.7500 0.9886 0.4848
P6 0.7500 0.1093 0.1940
O15 0.7500 0.6651 0.5149
Li3 0.7500 0.5535 0.2706
O16 0.7500 0.5114 0.9848
O17 0.7500 0.1442 0.9514
O18 0.2500 0.6442 0.5486
O19 0.4406 0.3641 0.8681
O20 0.2500 0.7170 0.7448
O21 0.2500 0.1651 0.9851
O22 0.4543 0.5939 0.3670
O23 0.7500 0.9716 0.2771
O24 0.0457 0.5939 0.3670
Cr5 0.0000 0.5000 0.5000
O25 0.7500 0.3558 0.4514
O26 0.4406 0.1359 0.3681
O27 0.2500 0.4716 0.2229
O28 0.5594 0.8641 0.6319
Cr6 0.2500 0.6486 0.1184
O29 0.7500 0.2830 0.2552
O30 0.4543 0.9061 0.8670
P7 0.2500 0.6093 0.3060
O31 0.2500 0.0284 0.7229
O32 0.2500 0.7830 0.2448
O33 0.5457 0.0939 0.1330
Li4 0.7500 0.9465 0.7706
Cr7 0.7500 0.3514 0.8816
O34 0.7500 0.2170 0.7552
P8 0.7500 0.8514 0.5647
O35 0.0594 0.3641 0.8681
O36 0.0594 0.1359 0.3681
Cr8 0.2500 0.8514 0.6184

Values from the calculation:
Total energy after the MP2020 corrections (eV/cell): -447.30
Final energy (eV per cell): -406.581
SG: Pnma (62)
ΔH_f (0 K) (eV/atom): -2.52


Computed, not measured: crystalline FeSO8 at its relaxed geometry at the PBE+U level of DFT.

Lattice parameters (Å, degrees): 13.3157 5.7718 9.5519 54.18 90.00 90.00
Fractional positions:
Fe1 0.0987 0.7065 0.2181
O1 0.0837 0.3178 0.3524
S1 0.1060 0.9742 0.8230
O2 0.9554 0.7583 0.2400
O3 0.6357 0.9234 0.3937
O4 0.8678 0.3291 0.5927
O5 0.0857 0.8706 0.7187
O6 0.0446 0.2417 0.7600
Fe2 0.5987 0.2935 0.2819
O7 0.2891 0.0527 0.3195
O8 0.7891 0.9473 0.1805
S2 0.8940 0.0258 0.1770
O9 0.3643 0.0766 0.6063
O10 0.9143 0.1294 0.2813
O11 0.8643 0.9234 0.8937
O12 0.1322 0.6709 0.4073
O13 0.4143 0.8706 0.2187
S3 0.6060 0.0258 0.6770
O14 0.4163 0.3178 0.8524
O15 0.2109 0.0527 0.8195
O16 0.9293 0.2584 0.9932
Fe3 0.4013 0.7065 0.7181
O17 0.5857 0.1294 0.7813
O18 0.2743 0.6119 0.7371
O19 0.1357 0.0766 0.1063
O20 0.4293 0.7416 0.5068
O21 0.7743 0.3881 0.7629
O22 0.2257 0.6119 0.2371
S4 0.3940 0.9742 0.3230
O23 0.6322 0.3291 0.0927
O24 0.0707 0.7416 0.0068
O25 0.5837 0.6822 0.1476
O26 0.3678 0.6709 0.9073
O27 0.5446 0.7583 0.7400
O28 0.9163 0.6822 0.6476
O29 0.4554 0.2417 0.2600
O30 0.7257 0.3881 0.2629
O31 0.5707 0.2584 0.4932
O32 0.7109 0.9473 0.6805
Fe4 0.9013 0.2935 0.7819

Values from the calculation:
Total energy after the MP2020 corrections (eV/cell): -231.53
Final energy (eV per cell): -200.519
Excess energy over the best structure of this formula in the dataset (meV/atom): 139
SG: P2_1/c (14)
ΔH_f (0 K) (eV/atom): -0.57


Computed, not measured: crystalline AlWO3 at its relaxed geometry at the PBE+U level of DFT.

Lattice parameters (Å, degrees): 4.0356 4.0356 4.0356 90.00 90.00 90.00
Fractional positions:
O1 0.5000 0.0000 0.5000
O2 0.0000 0.5000 0.5000
O3 0.5000 0.5000 0.0000
W1 0.5000 0.5000 0.5000
Al1 0.0000 0.0000 0.0000

Values from the calculation:
Total energy after the MP2020 corrections (eV/cell): -38.80
Final energy (eV per cell): -32.305
SG: Pm-3m (221)
ΔH_f (0 K) (eV/atom): -1.45


Computed, not measured: crystalline MgMn3Zn2O8 at its relaxed geometry at the PBE+U level of DFT.

Lattice parameters (Å, degrees): 5.3836 5.8593 6.0332 119.05 90.31 90.00
Fractional positions:
Zn1 0.6664 0.7509 0.5019
O1 0.3727 0.3461 0.2268
O2 0.3727 0.8808 0.2269
Zn2 0.3333 0.2490 0.4981
O3 0.1738 0.9139 0.8278
O4 0.8388 0.5919 0.1837
O5 0.6273 0.1192 0.7732
O6 0.6273 0.6539 0.7731
O7 0.1612 0.4082 0.8163
O8 0.8262 0.0861 0.1722
Mg1 0.5000 0.5000 0.0000
Mn1 0.5000 0.0000 0.0000
Mn2 0.0000 0.7525 0.0000
Mn3 0.0000 0.2475 0.0000

Values from the calculation:
Total energy after the MP2020 corrections (eV/cell): -98.71
Final energy (eV per cell): -88.213
Excess energy over the best structure of this formula in the dataset (meV/atom): 33
SG: C2/m (12)
ΔH_f (0 K) (eV/atom): -1.97


Computed, not measured: crystalline Li5Mn2P2C2O14 at its relaxed geometry at the PBE+U level of DFT.

Lattice parameters (Å, degrees): 6.4467 9.5531 10.1662 62.25 90.00 90.00
Fractional positions:
O1 0.7500 0.4105 0.7068
C1 0.2500 0.9664 0.8736
O2 0.0639 0.3122 0.9312
P1 0.2500 0.4197 0.4263
Li1 0.9812 0.7387 0.2638
O3 0.2500 0.9277 0.0145
O4 0.7500 0.1501 0.6803
O5 0.7500 0.4165 0.1978
Mn1 0.2500 0.6596 0.5617
O6 0.7500 0.5723 0.9182
O7 0.2500 0.9022 0.5114
O8 0.7500 0.8965 0.7253
O9 0.7500 0.8903 0.2273
Li2 0.7500 0.9103 0.9218
O10 0.4410 0.3254 0.4209
O11 0.2500 0.5895 0.2932
Li3 0.9803 0.7448 0.7459
Li4 0.5197 0.7448 0.7459
C2 0.7500 0.0336 0.1264
P2 0.2500 0.4150 0.9344
O12 0.4361 0.3122 0.9312
Li5 0.5188 0.7387 0.2638
O13 0.7500 0.5635 0.4271
O14 0.5639 0.6878 0.0688
O15 0.2500 0.4277 0.0818
O16 0.5590 0.6746 0.5791
O17 0.2500 0.1097 0.7727
C3 0.2500 0.9541 0.3693
O18 0.2500 0.8499 0.3197
O19 0.2500 0.1035 0.2747
Mn2 0.7500 0.3404 0.4383
Li6 0.0188 0.2613 0.7362
O20 0.9410 0.6746 0.5791
P3 0.7500 0.5850 0.0656
P4 0.7500 0.5803 0.5737
Mn3 0.2500 0.6642 0.0618
O21 0.2500 0.5835 0.8022
O22 0.7500 0.0723 0.9855
O23 0.2500 0.4365 0.5729
O24 0.7500 0.0978 0.4886
O25 0.7500 0.1524 0.1591
Li7 0.2500 0.0897 0.0782
O26 0.2500 0.8476 0.8409
Mn4 0.7500 0.3358 0.9382
Li8 0.0197 0.2552 0.2541
Li9 0.4812 0.2613 0.7362
O27 0.9361 0.6878 0.0688
O28 0.0590 0.3254 0.4209
Li10 0.4803 0.2552 0.2541
C4 0.7500 0.0459 0.6307

Values from the calculation:
Total energy after the MP2020 corrections (eV/cell): -371.19
Final energy (eV per cell): -345.283
Excess energy over the best structure of this formula in the dataset (meV/atom): 12
SG: P2_1/m (11)
ΔH_f (0 K) (eV/atom): -2.37


Computed V (A^3/atom) in order:
9.27, 11.94, 14.88, 13.14, 11.88, 11.08